{
  "formula": "Zn3CdSe4",
  "functional": "PBE",
  "state": "optimized geometry",
  "e_form_ev_per_atom": -0.915,
  "e_tot_ev_per_cell": -24.12,
  "vol_a3_per_cell": 201,
  "energy_mp2020_ev_per_atom": -3.25,
  "space_group": "P-43m",
  "lattice": [[5.860, 0.000, 0.000], [0.000, 5.860, 0.000], [0.000, 0.000, 5.860]],
  "species": ["Se", "Se", "Se", "Se", "Zn", "Zn", "Zn", "Cd"],
  "fractional_positions": [[0.262, 0.262, 0.262], [0.738, 0.262, 0.738], [0.738, 0.738, 0.262], [0.262, 0.738, 0.738], [0.500, 0.500, 0.000], [0.500, 0.000, 0.500], [0.000, 0.500, 0.500], [0.000, 0.000, 0.000]]
}